The following is a PBE calculation of a relaxed Ca4Al6O13 crystal, from Materials Project.

a b c (Å): 17.899 5.343 21.285
angles (deg): 90.00 90.00 90.00
Space group Pbcn (No. 60)
Symmetry-distinct sites (fractional):
Ca 0.083 0.010 0.125 (multiplicity 8)
Ca 0.087 0.470 0.244 (multiplicity 8)
Ca 0.087 0.477 0.006 (multiplicity 8)
Ca 0.098 0.007 0.875 (multiplicity 8)
Al 0.000 0.000 0.000 (multiplicity 4)
Al 0.000 0.016 0.750 (multiplicity 4)
Al 0.009 0.496 0.375 (multiplicity 8)
Al 0.203 0.436 0.625 (multiplicity 8)
Al 0.207 0.101 0.507 (multiplicity 8)
Al 0.207 0.108 0.743 (multiplicity 8)
Al 0.216 0.498 0.375 (multiplicity 8)
O 0.004 0.249 0.937 (multiplicity 8)
O 0.005 0.262 0.812 (multiplicity 8)
O 0.009 0.237 0.313 (multiplicity 8)
O 0.010 0.249 0.438 (multiplicity 8)
O 0.108 0.469 0.125 (multiplicity 8)
O 0.115 0.005 0.240 (multiplicity 8)
O 0.116 0.021 0.010 (multiplicity 8)
O 0.118 0.495 0.876 (multiplicity 8)
O 0.209 0.101 0.624 (multiplicity 8)
O 0.213 0.426 0.532 (multiplicity 8)
O 0.213 0.431 0.717 (multiplicity 8)
O 0.223 0.173 0.425 (multiplicity 8)
O 0.224 0.180 0.824 (multiplicity 8)

Calculated values
As for the calculated density: 3.5 g/cm3. The calculation puts the formation energy from the elements at -3.410 eV per atom. The energy relative to the lowest polymorph listed for this composition comes out at 28 meV per atom.